Density functional theory data (PBE) for an optimized crystal structure of BaSb2Xe5F22.

extended XYZ file:
```
30
Lattice="0.000 7.028 7.145 6.212 0.000 7.145 6.212 7.028 0.000" Properties=species:S:1:pos:R:3 pbc="T T T"
Ba 0.000 0.000 0.000
Sb 3.106 0.000 3.572
Sb 3.106 7.028 3.572
Xe 3.106 3.514 0.000
Xe 6.212 3.514 3.572
Xe 0.000 3.514 3.572
Xe 3.106 3.514 7.145
Xe 6.212 7.028 7.145
F 8.509 5.665 4.651
F 7.749 7.028 2.446
F 6.212 2.545 5.414
F 10.138 5.425 7.145
F 8.509 8.391 4.651
F 4.675 7.028 2.446
F 10.138 8.630 7.145
F 6.212 2.545 8.875
F 6.212 4.956 7.145
F 8.509 5.665 9.639
F 3.914 5.665 4.651
F 8.509 8.391 9.639
F 3.914 8.391 4.651
F 6.212 9.099 7.145
F 6.212 11.510 5.414
F 2.286 5.425 7.145
F 7.749 7.028 11.844
F 3.914 5.665 9.639
F 2.286 8.630 7.145
F 6.212 11.510 8.875
F 4.675 7.028 11.844
F 3.914 8.391 9.639
```

- calculated formation energy (eV per atom) = -1.920
- space group = Fmmm, No. 69
- magnetic moment (μB/cell) = 0.003
- energy with MP2020 corrections (eV/cell) = -110.07